An optimized crystal structure of KCrN. Source: Materials Project, functional PBE.

Properties
E (MP2020) ... -19.31 eV per cell
Magnetic moment ... 2.0 μB per formula unit
VASP energy ... -18.95 eV/f.u.

```
3
Lattice="0.000 1.892 -2.583 -0.996 1.141 2.821 5.549 1.628 1.193" Properties=species:S:1:pos:R:3 pbc="T T T"
N 1.438 1.907 1.396
K 4.499 4.483 1.299
Cr 2.177 2.282 -0.313
```